Ge8Pd21, relaxed, DFT GGA-PBE; energy = -5.507 eV/atom; DFT formation energy = -481 meV/atom
1.0
6.6684 -4.5617 6.9868
0.7053 10.2554 -2.9021
-9.4293 -0.4600 4.9969
Ge Pd
16 42
Direct
0.0279 0.3085 0.5282 Ge
0.2555 0.1489 0.3004 Ge
0.6915 0.2197 0.7194 Ge
0.2221 0.4415 0.9718 Ge
0.4016 0.7950 0.8004 Ge
0.0450 0.7445 0.8934 Ge
0.2050 0.0055 0.6066 Ge
0.8484 0.9550 0.6996 Ge
0.3989 0.5984 0.3934 Ge
0.7497 0.7779 0.2194 Ge
0.9945 0.6011 0.1996 Ge
0.8511 0.1516 0.1066 Ge
0.5585 0.5303 0.7806 Ge
0.7803 0.4997 0.4718 Ge
0.4697 0.2503 0.0282 Ge
0.5003 0.9721 0.2806 Ge
0.2014 0.8575 0.1624 Pd
0.5617 0.0439 0.0759 Pd
0.2939 0.7180 0.9822 Pd
0.9680 0.4858 0.9241 Pd
0.1425 0.3049 0.3438 Pd
0.5024 0.2690 0.7937 Pd
0.4070 0.9416 0.6429 Pd
0.7747 0.0413 0.2937 Pd
0.0584 0.7013 0.4653 Pd
0.8291 0.6388 0.0242 Pd
0.7476 0.4810 0.7063 Pd
0.0549 0.5791 0.6902 Pd
0.8888 0.3647 0.3098 Pd
0.5142 0.4383 0.4822 Pd
0.6353 0.9451 0.5242 Pd
0.9513 0.9860 0.1429 Pd
0.2360 0.5930 0.5347 Pd
0.2889 0.9514 0.8438 Pd
0.0486 0.8925 0.3376 Pd
0.7310 0.5247 0.2334 Pd
0.4209 0.1112 0.4758 Pd
0.5190 0.2253 0.2666 Pd
0.0140 0.1570 0.9653 Pd
0.9561 0.0320 0.5178 Pd
0.8430 0.8084 0.8571 Pd
0.2820 0.2642 0.5759 Pd
0.6951 0.0389 0.8376 Pd
0.5549 0.7111 0.6624 Pd
0.7500 0.2500 0.5000 Pd
0.4753 0.7087 0.2063 Pd
0.2913 0.4976 0.7666 Pd
0.1951 0.1709 0.8098 Pd
0.7358 0.3117 0.0178 Pd
0.9587 0.2524 0.7334 Pd
0.6147 0.8049 0.9758 Pd
0.2987 0.7640 0.3571 Pd
0.9611 0.7986 0.6562 Pd
0.6883 0.7061 0.4241 Pd
0.1075 0.4451 0.1562 Pd
0.5000 0.5000 0.0000 Pd
0.3612 0.3853 0.1902 Pd
0.1916 0.0487 0.0347 Pd